Entry from Materials Project: a geometry-optimized Li2SiNiO4 structure (GGA+U).

Results
* energy of formation: -2.39 eV/atom
* density: 3.3 g/cm³
* total energy after the MP2020 corrections: -0.496 Ry/atom

Geometry as extended XYZ:
```
48
Lattice="-1.170 1.331 -4.694 -3.602 7.330 2.975 12.490 1.044 -0.129" Properties=species:S:1:pos:R:3 pbc="T T T"
O 7.113 4.076 0.475
O 5.143 6.147 1.889
O 6.359 3.146 -1.946
O 10.393 3.296 -4.305
O 3.301 2.763 -1.180
O 2.377 2.034 -4.149
O 1.162 5.034 -0.316
O 6.364 6.803 -1.843
O -2.679 6.519 2.570
O 0.468 1.550 -1.662
O -1.917 5.881 -2.520
O 3.095 4.477 -3.363
O -1.463 3.519 -1.267
O 1.877 7.478 0.470
O -0.748 6.964 0.062
O 8.770 4.912 -2.796
O 8.749 2.473 -0.983
O 6.536 1.472 0.215
O 4.728 8.407 -0.385
O 1.638 2.633 0.921
O 0.915 7.094 -2.040
O 4.150 5.804 -0.645
O 7.553 7.910 1.039
O 9.179 6.295 -0.469
Si -2.610 4.618 -1.705
Si 0.786 6.647 -0.459
Si -0.224 0.287 -0.845
Si 3.173 2.316 0.401
Si 4.798 7.117 -1.407
Si 7.183 2.786 -0.547
Li 7.784 7.747 -0.936
Li 5.241 4.603 0.519
Li -0.626 2.622 -2.889
Li -0.063 5.741 -3.041
Li 6.459 1.603 -3.316
Li 6.859 5.005 -2.448
Li 2.324 1.409 -2.180
Li 2.762 4.709 -1.449
Li 1.544 7.707 2.385
Li 5.645 8.006 1.387
Li -1.842 5.621 0.948
Li 10.170 3.418 -0.077
Ni 4.495 3.148 -2.707
Ni 0.331 3.212 -0.491
Ni 7.726 5.916 0.869
Ni 3.281 6.153 1.129
Ni 8.942 2.917 -2.963
Ni -2.058 7.542 -1.345
```

=====

Entry from Materials Project: a geometry-optimized Li2Si2NiO6 structure (GGA+U).

Results
* energy of formation: -2.62 eV/atom
* density: 2.9 g/cm³
* total energy after the MP2020 corrections: -0.528 Ry/atom

Geometry as extended XYZ:
```
44
Lattice="-4.868 1.464 2.277 -0.842 -6.260 8.840 3.050 9.264 1.764" Properties=species:S:1:pos:R:3 pbc="T T T"
Li -2.552 3.298 5.986
Li -4.068 -2.729 7.151
Li -3.503 4.653 4.011
Li 1.407 7.196 5.728
Li 0.455 8.553 3.755
Li 0.842 -0.185 8.869
Li -0.108 1.172 6.895
Li -3.117 -4.084 9.127
O -1.292 1.446 1.843
O -1.369 3.022 11.038
O -2.143 2.405 7.706
O -0.908 5.364 2.020
O -2.642 -0.314 4.036
O -1.142 4.494 4.459
O 0.543 6.548 3.945
O -3.307 0.282 6.569
O -3.415 2.649 4.198
O -0.233 -0.869 2.439
O -3.978 0.882 9.101
O 0.000 0.000 0.000
O -0.516 2.063 5.174
O -2.200 6.809 3.862
O -1.518 -0.027 8.422
O -1.427 7.427 7.193
O -2.426 5.337 10.442
O 0.652 4.181 6.312
O 1.318 3.587 3.780
O -0.019 4.781 8.844
O -1.235 -2.960 5.686
O -3.204 -2.081 8.938
O 0.755 1.819 8.680
O -0.460 -2.341 9.017
Si -0.897 5.884 3.563
Si -3.816 -0.374 5.168
Si 1.156 4.840 7.712
Si -1.763 -1.417 9.318
Si 0.012 0.521 1.543
Si -2.672 3.948 11.338
Si 0.143 3.526 4.912
Si -2.802 0.941 7.969
Ni -0.841 2.964 9.113
Ni 0.067 -2.401 7.091
Ni -2.729 6.871 5.785
Ni -1.818 1.504 3.768
```

=====

VASP energy values, unit eV/atom, following the record order: -6.0811 -6.5717.